(a)
The following is a DFT calculation (PBE) of a relaxed structure of LaMg6Zn.

Cell: 5.0719 6.7217 11.5851 Å, 90.00 90.00 90.00°
Sites, in units of the cell vectors:
1 La 0.5000 0.0000 0.6739
2 La 0.5000 0.5000 0.1739
3 Mg 0.0000 0.7342 0.5761
4 Mg 0.0000 0.2658 0.5761
5 Mg 0.0000 0.0000 0.3318
6 Mg 0.5000 0.7403 0.4208
7 Mg 0.5000 0.2597 0.4208
8 Mg 0.5000 0.0000 0.1633
9 Mg 0.0000 0.2342 0.0761
10 Mg 0.0000 0.7658 0.0761
11 Mg 0.0000 0.5000 0.8318
12 Mg 0.5000 0.2403 0.9208
13 Mg 0.5000 0.7597 0.9208
14 Mg 0.5000 0.5000 0.6633
15 Zn 0.0000 0.0000 0.8374
16 Zn 0.0000 0.5000 0.3374

=====

(b)
The following is a DFT calculation (PBE) of a relaxed structure of LaMg6Zn.

Cell: 5.1236 6.9208 6.9208 Å, 53.60 90.00 90.00°
Sites, in units of the cell vectors:
1 La 0.0000 0.0000 0.0000
2 Mg 0.0000 0.4971 0.9948
3 Mg 0.0000 0.9948 0.4971
4 Mg 0.5000 0.1474 0.6337
5 Mg 0.5000 0.1630 0.1630
6 Mg 0.5000 0.6237 0.6237
7 Mg 0.5000 0.6337 0.1474
8 Zn 0.0000 0.4477 0.4477

=====

Energies relative to the most stable structure are (a) 1.5; (b) 0.0, reported in kJ/mol of atoms.

=====

(a)
The following is a DFT calculation (PBE) of a relaxed structure of LaMg6Zr.

Cell: 5.1720 6.6432 11.5765 Å, 90.00 90.00 90.00°
Sites, in units of the cell vectors:
1 La 0.5000 0.5000 0.1795
2 La 0.5000 0.0000 0.6795
3 Mg 0.0000 0.7604 0.0773
4 Mg 0.0000 0.2396 0.0773
5 Mg 0.0000 0.0000 0.3340
6 Mg 0.5000 0.2605 0.4206
7 Mg 0.5000 0.7395 0.4206
8 Mg 0.5000 0.0000 0.1653
9 Mg 0.0000 0.2604 0.5773
10 Mg 0.0000 0.7396 0.5773
11 Mg 0.0000 0.5000 0.8340
12 Mg 0.5000 0.7605 0.9206
13 Mg 0.5000 0.2395 0.9206
14 Mg 0.5000 0.5000 0.6653
15 Zr 0.0000 0.5000 0.3252
16 Zr 0.0000 0.0000 0.8252

=====

(b)
The following is a DFT calculation (PBE) of a relaxed structure of LaMg6Zr.

Cell: 5.2647 6.5037 11.7074 Å, 90.00 90.00 90.00°
Sites, in units of the cell vectors:
1 La 0.5000 0.5000 0.1669
2 La 0.5000 0.0000 0.6669
3 Mg 0.5000 0.2504 0.4176
4 Mg 0.5000 0.7496 0.4176
5 Mg 0.0000 0.7616 0.0826
6 Mg 0.0000 0.2384 0.0826
7 Mg 0.0000 0.0000 0.3302
8 Mg 0.0000 0.5000 0.3401
9 Mg 0.5000 0.7504 0.9176
10 Mg 0.5000 0.2496 0.9176
11 Mg 0.0000 0.2616 0.5826
12 Mg 0.0000 0.7384 0.5826
13 Mg 0.0000 0.5000 0.8302
14 Mg 0.0000 0.0000 0.8401
15 Zr 0.5000 0.0000 0.1624
16 Zr 0.5000 0.5000 0.6624

=====

Energies relative to the most stable structure are (a) 0.0; (b) 0.9, reported in kJ/mol of atoms.

=====

(a)
The following is a DFT calculation (PBE) of a relaxed structure of NaLaO2.

Cell: 6.0036 6.0036 6.0036 Å, 35.71 35.71 35.71°
Sites, in units of the cell vectors:
1 Na 0.0000 0.0000 0.0000
2 La 0.5000 0.5000 0.5000
3 O 0.2387 0.2387 0.2387
4 O 0.7613 0.7613 0.7613

=====

(b)
The following is a DFT calculation (PBE) of a relaxed structure of NaLaO2.

Cell: 6.6397 6.6397 6.6397 Å, 137.39 137.39 61.84°
Sites, in units of the cell vectors:
1 Na 0.3750 0.6250 0.7500
2 Na 0.6250 0.3750 0.2500
3 La 0.1250 0.8750 0.2500
4 La 0.8750 0.1250 0.7500
5 O 0.0922 0.3422 0.7500
6 O 0.3422 0.0922 0.2500
7 O 0.6578 0.9078 0.7500
8 O 0.9078 0.6578 0.2500

=====

(c)
The following is a DFT calculation (PBE) of a relaxed structure of NaLaO2.

Cell: 7.8586 7.8586 6.4432 Å, 103.73 103.73 127.46°
Sites, in units of the cell vectors:
1 Na 0.0693 0.9307 0.7500
2 Na 0.3052 0.6948 0.7500
3 Na 0.6948 0.3052 0.2500
4 Na 0.9307 0.0693 0.2500
5 La 0.1820 0.8180 0.2500
6 La 0.4427 0.5573 0.2500
7 La 0.5573 0.4427 0.7500
8 La 0.8180 0.1820 0.7500
9 O 0.0566 0.4301 0.2031
10 O 0.2109 0.3346 0.7970
11 O 0.3346 0.2109 0.2970
12 O 0.4301 0.0566 0.7031
13 O 0.5699 0.9434 0.2969
14 O 0.6654 0.7891 0.7030
15 O 0.7891 0.6654 0.2030
16 O 0.9434 0.5699 0.7969

=====

Energies relative to the most stable structure are (a) 4.3; (b) 0.0; (c) 2.3, reported in kJ/mol of atoms.